[1]
The following is a DFT calculation (PBE-GGA) of a geometry-optimized Na2CdCl4 structure.

Unit cell a=3.9982 b=7.0975 c=12.1408 alpha=90.00 beta=90.00 gamma=90.00
Closest atoms and distances in Å follow each position.
Positions (direct):
1 Cl 0.0000 0.1257 0.2031  1 Cd 2.62, 4 Na 2.86
2 Cl 0.0000 0.8743 0.7969  1 Cd 2.62, 4 Na 2.86
3 Cl 0.0000 0.6257 0.2969  1 Cd 2.62, 4 Na 2.86
4 Cl 0.5000 0.2461 0.9569  2 Cd 2.71, 2 Na 2.98-3.01
5 Cl 0.5000 0.7461 0.5431  2 Cd 2.71, 2 Na 2.98-3.01
6 Cl 0.5000 0.2539 0.4569  2 Cd 2.71, 2 Na 2.98-3.01
7 Cl 0.5000 0.7539 0.0431  2 Cd 2.71, 2 Na 2.98-3.01
8 Cl 0.0000 0.3743 0.7031  1 Cd 2.62, 4 Na 2.86
9 Cd 0.0000 0.5000 0.5000  6 Cl 2.62-2.71
10 Cd 0.0000 0.0000 0.0000  6 Cl 2.62-2.71
11 Na 0.5000 0.9112 0.3152  6 Cl 2.86-3.01
12 Na 0.5000 0.4112 0.1848  6 Cl 2.86-3.01
13 Na 0.5000 0.0888 0.6848  6 Cl 2.86-3.01
14 Na 0.5000 0.5888 0.8152  6 Cl 2.86-3.01

Computed properties:
Calculated formation energy (eV/f.u.): -12.9

---

[2]
The following is a DFT calculation (PBE-GGA) of a geometry-optimized Cd2ClO3 structure.

Unit cell a=7.0055 b=7.2951 c=9.8351 alpha=90.00 beta=90.00 gamma=90.00
Closest atoms and distances in Å follow each position.
Positions (direct):
1 O 0.5505 0.5627 0.2829  3 Cd 2.21-2.27
2 O 0.0505 0.5627 0.2171  3 Cd 2.21-2.27
3 O 0.9495 0.0627 0.7829  3 Cd 2.21-2.27
4 O 0.0505 0.9373 0.2171  3 Cd 2.21-2.27
5 O 0.6635 0.2500 0.5455  3 Cd 2.20-2.30
6 O 0.5505 0.9373 0.2829  3 Cd 2.21-2.27
7 O 0.1635 0.2500 0.9545  3 Cd 2.20-2.30
8 O 0.3365 0.7500 0.4545  3 Cd 2.20-2.30
9 O 0.4495 0.4373 0.7171  3 Cd 2.21-2.27
10 O 0.8365 0.7500 0.0455  3 Cd 2.20-2.30
11 O 0.4495 0.0627 0.7171  3 Cd 2.21-2.27
12 O 0.9495 0.4373 0.7829  3 Cd 2.21-2.27
13 Cl 0.8089 0.7500 0.5433  3 Cd 2.60-2.86
14 Cl 0.3089 0.7500 0.9567  3 Cd 2.60-2.86
15 Cl 0.1911 0.2500 0.4567  3 Cd 2.60-2.86
16 Cl 0.6911 0.2500 0.0433  3 Cd 2.60-2.86
17 Cd 0.0000 0.5000 0.0000  4 O 2.20-2.21
18 Cd 0.5000 0.0000 0.5000  4 O 2.20-2.21
19 Cd 0.3092 0.7500 0.2209  5 O 2.26-2.30
20 Cd 0.5000 0.5000 0.5000  4 O 2.20-2.21
21 Cd 0.6908 0.2500 0.7791  5 O 2.26-2.30
22 Cd 0.0000 0.0000 0.0000  4 O 2.20-2.21
23 Cd 0.1908 0.2500 0.7209  5 O 2.26-2.30
24 Cd 0.8092 0.7500 0.2791  5 O 2.26-2.30

Computed properties:
Calculated formation energy (eV/f.u.): -3.7

---

[3]
The following is a DFT calculation (PBE-GGA) of a geometry-optimized Cd5P3ClO12 structure.

Unit cell a=9.9249 b=9.9249 c=6.5701 alpha=90.00 beta=90.00 gamma=120.00
Closest atoms and distances in Å follow each position.
Positions (direct):
1 Cd 0.3333 0.6667 0.5043  6 O 2.36-2.41
2 Cd 0.2475 0.9715 0.2500  5 O 2.26-2.49
3 Cd 0.2761 0.2475 0.7500  5 O 2.26-2.49
4 Cd 0.7239 0.7525 0.2500  5 O 2.26-2.49
5 Cd 0.7525 0.0285 0.7500  5 O 2.26-2.49
6 Cd 0.0285 0.2761 0.2500  5 O 2.26-2.49
7 Cd 0.3333 0.6667 0.9957  6 O 2.36-2.41
8 Cd 0.6667 0.3333 0.0043  6 O 2.36-2.41
9 Cd 0.9715 0.7239 0.7500  5 O 2.26-2.49
10 Cd 0.6667 0.3333 0.4957  6 O 2.36-2.41
11 O 0.3441 0.0729 0.5604  1 P 1.56
12 O 0.9271 0.2711 0.9396  1 P 1.56
13 O 0.0729 0.7289 0.0604  1 P 1.56
14 O 0.9271 0.2711 0.5604  1 P 1.56
15 O 0.6431 0.1491 0.2500  1 P 1.55
16 O 0.2711 0.3441 0.4396  1 P 1.56
17 O 0.1491 0.5060 0.7500  1 P 1.55
18 O 0.4556 0.5881 0.2500  1 P 1.59
19 O 0.1325 0.5444 0.2500  1 P 1.59
20 O 0.8509 0.4940 0.2500  1 P 1.55
21 O 0.4119 0.8675 0.2500  1 P 1.59
22 O 0.3441 0.0729 0.9396  1 P 1.56
23 O 0.5444 0.4119 0.7500  1 P 1.59
24 O 0.5060 0.3569 0.2500  1 P 1.55
25 O 0.7289 0.6559 0.5604  1 P 1.56
26 O 0.2711 0.3441 0.0604  1 P 1.56
27 O 0.7289 0.6559 0.9396  1 P 1.56
28 O 0.8675 0.4556 0.7500  1 P 1.59
29 O 0.0729 0.7289 0.4396  1 P 1.56
30 O 0.4940 0.6431 0.7500  1 P 1.55
31 O 0.6559 0.9271 0.4396  1 P 1.56
32 O 0.6559 0.9271 0.0604  1 P 1.56
33 O 0.3569 0.8509 0.7500  1 P 1.55
34 O 0.5881 0.1325 0.7500  1 P 1.59
35 P 0.5958 0.9752 0.2500  4 O 1.55-1.59
36 P 0.3794 0.4042 0.2500  4 O 1.55-1.59
37 P 0.4042 0.0248 0.7500  4 O 1.55-1.59
38 P 0.0248 0.6206 0.2500  4 O 1.55-1.59
39 P 0.9752 0.3794 0.7500  4 O 1.55-1.59
40 P 0.6206 0.5958 0.7500  4 O 1.55-1.59
41 Cl 0.0000 0.0000 0.7500  3 Cd 2.61
42 Cl 0.0000 0.0000 0.2500  3 Cd 2.61

Computed properties:
Calculated formation energy (eV/f.u.): -45.3

---

[4]
The following is a DFT calculation (PBE-GGA) of a geometry-optimized CdPb2Cl2O2 structure.

Unit cell a=3.8935 b=6.6084 c=7.1951 alpha=69.08 beta=74.30 gamma=72.87
Closest atoms and distances in Å follow each position.
Positions (direct):
1 O 0.8072 0.3183 0.0673  1 Cd 2.20, 3 Pb 2.33-2.38
2 O 0.1928 0.6817 0.9327  1 Cd 2.20, 3 Pb 2.33-2.38
3 Cl 0.4347 0.8347 0.2959  2 Cd 2.79
4 Cl 0.5653 0.1653 0.7041  2 Cd 2.79
5 Cd 0.0000 0.0000 0.0000  2 O 2.20
6 Pb 0.1875 0.3906 0.2344  3 O 2.33-2.38
7 Pb 0.8125 0.6094 0.7656  3 O 2.33-2.38

Computed properties:
Calculated formation energy (eV/f.u.): -9.7

---

[5]
The following is a DFT calculation (PBE-GGA) of a geometry-optimized Cd2TeCl2O3 structure.

Unit cell a=8.3708 b=11.4709 c=16.0581 alpha=90.00 beta=90.00 gamma=90.00
Closest atoms and distances in Å follow each position.
Positions (direct):
1 O 0.5717 0.9173 0.5818  1 Te 1.90
2 O 0.0717 0.5827 0.5818  1 Te 1.90
3 O 0.8026 0.0495 0.4952  1 Te 1.92
4 O 0.1974 0.9505 0.5048  1 Te 1.92
5 O 0.8529 0.6824 0.9400  1 Te 1.90
6 O 0.1974 0.5495 0.9952  1 Te 1.92
7 O 0.9283 0.4173 0.4182  1 Te 1.90
8 O 0.3529 0.8176 0.9400  1 Te 1.90
9 O 0.6974 0.9505 0.9952  1 Te 1.92
10 O 0.1471 0.3176 0.0600  1 Te 1.90
11 O 0.3026 0.0495 0.0048  1 Te 1.92
12 O 0.6974 0.5495 0.5048  1 Te 1.92
13 O 0.6471 0.3176 0.4400  1 Te 1.90
14 O 0.6471 0.1824 0.0600  1 Te 1.90
15 O 0.8529 0.8176 0.5600  1 Te 1.90
16 O 0.3529 0.6824 0.5600  1 Te 1.90
17 O 0.0717 0.9173 0.9182  1 Te 1.90
18 O 0.5717 0.5827 0.9182  1 Te 1.90
19 O 0.1471 0.1824 0.4400  1 Te 1.90
20 O 0.3026 0.4505 0.4952  1 Te 1.92
21 O 0.4283 0.4173 0.0818  1 Te 1.90
22 O 0.8026 0.4505 0.0048  1 Te 1.92
23 O 0.4283 0.0827 0.4182  1 Te 1.90
24 O 0.9283 0.0827 0.0818  1 Te 1.90
25 Cd 0.3460 0.4952 0.8834  2 O 2.21-2.27, 1 Cl 2.45
26 Cd 0.3953 0.2313 0.0273  4 O 2.24-2.36
27 Cd 0.6047 0.7313 0.5273  4 O 2.24-2.36
28 Cd 0.1540 0.9952 0.1166  2 O 2.21-2.27, 1 Cl 2.45
29 Cd 0.1047 0.7313 0.9727  4 O 2.24-2.36
30 Cd 0.6047 0.7687 0.9727  4 O 2.24-2.36
31 Cd 0.8460 0.0048 0.8834  2 O 2.21-2.27, 1 Cl 2.45
32 Cd 0.8953 0.2313 0.4727  4 O 2.24-2.36
33 Cd 0.1540 0.5048 0.3834  2 O 2.21-2.27, 1 Cl 2.45
34 Cd 0.3953 0.2687 0.4727  4 O 2.24-2.36
35 Cd 0.8953 0.2687 0.0273  4 O 2.24-2.36
36 Cd 0.8460 0.4952 0.6166  2 O 2.21-2.27, 1 Cl 2.45
37 Cd 0.1047 0.7687 0.5273  4 O 2.24-2.36
38 Cd 0.6540 0.9952 0.3834  2 O 2.21-2.27, 1 Cl 2.45
39 Cd 0.6540 0.5048 0.1166  2 O 2.21-2.27, 1 Cl 2.45
40 Cd 0.3460 0.0048 0.6166  2 O 2.21-2.27, 1 Cl 2.45
41 Te 0.7863 0.5335 0.9016  3 O 1.90-1.92
42 Te 0.7137 0.4665 0.4016  3 O 1.90-1.92
43 Te 0.7863 0.9665 0.5984  3 O 1.90-1.92
44 Te 0.2137 0.0335 0.4016  3 O 1.90-1.92
45 Te 0.2863 0.9665 0.9016  3 O 1.90-1.92
46 Te 0.2137 0.4665 0.0984  3 O 1.90-1.92
47 Te 0.7137 0.0335 0.0984  3 O 1.90-1.92
48 Te 0.2863 0.5335 0.5984  3 O 1.90-1.92
49 Cl 0.9285 0.2127 0.8706  2 Cd 2.49-2.61
50 Cl 0.8467 0.4146 0.2114  1 Cd 2.45
51 Cl 0.3467 0.4146 0.2886  1 Cd 2.45
52 Cl 0.4285 0.2127 0.6294  2 Cd 2.49-2.61
53 Cl 0.3467 0.0854 0.2114  1 Cd 2.45
54 Cl 0.9285 0.2873 0.6294  2 Cd 2.49-2.61
55 Cl 0.5715 0.7873 0.3706  2 Cd 2.49-2.61
56 Cl 0.6533 0.5854 0.7114  1 Cd 2.45
57 Cl 0.0715 0.7127 0.3706  2 Cd 2.49-2.61
58 Cl 0.4285 0.2873 0.8706  2 Cd 2.49-2.61
59 Cl 0.6533 0.9146 0.7886  1 Cd 2.45
60 Cl 0.1533 0.5854 0.7886  1 Cd 2.45
61 Cl 0.0715 0.7873 0.1294  2 Cd 2.49-2.61
62 Cl 0.8467 0.0854 0.2886  1 Cd 2.45
63 Cl 0.5715 0.7127 0.1294  2 Cd 2.49-2.61
64 Cl 0.1533 0.9146 0.7114  1 Cd 2.45

Computed properties:
Calculated formation energy (eV/f.u.): -10.9

---

[6]
The following is a DFT calculation (PBE-GGA) of a geometry-optimized Cd2P3Cl structure.

Unit cell a=6.1174 b=6.1174 c=7.6486 alpha=97.00 beta=97.00 gamma=96.87
Closest atoms and distances in Å follow each position.
Positions (direct):
1 Cd 0.8952 0.5901 0.2867  3 P 2.57-2.67, 1 Cl 2.72
2 Cd 0.4099 0.1048 0.2133  3 P 2.57-2.67, 1 Cl 2.72
3 Cd 0.1048 0.4099 0.7133  3 P 2.57-2.67, 1 Cl 2.72
4 Cd 0.5901 0.8952 0.7867  3 P 2.57-2.67, 1 Cl 2.72
5 P 0.4310 0.3393 0.5346  2 P 2.20-2.21
6 P 0.6607 0.5690 0.9654  2 P 2.20-2.21
7 P 0.3393 0.4310 0.0346  2 P 2.20-2.21
8 P 0.6952 0.3048 0.7500  2 P 2.21
9 P 0.3048 0.6952 0.2500  2 P 2.21
10 P 0.5690 0.6607 0.4654  2 P 2.20-2.21
11 Cl 0.1387 0.8613 0.7500  2 Cd 2.72
12 Cl 0.8613 0.1387 0.2500  2 Cd 2.72

Computed properties:
Calculated formation energy (eV/f.u.): -2.7

---

calculated formation energy of number 1 (Na2CdCl4)?
-12.9 eV/f.u.

---

Look up the calculated formation energy of the fourth one.
-9.7 eV/f.u.